[1]
VASP calculation (PBE) on a relaxed EuMg2H6 crystal.

Lattice parameters (Å, degrees): 3.742 3.742 8.027 90.00 90.00 90.00
Fractional positions:
H 0.500 0.000 0.790
H 0.500 0.500 0.000
H 0.000 0.500 0.790
H 0.000 0.500 0.210
H 0.500 0.000 0.210
H 0.500 0.500 0.500
Eu 0.000 0.000 0.000
Mg 0.500 0.500 0.724
Mg 0.500 0.500 0.276

Summary:
* raw total energy: -4.08 eV per atom
* SG: P4/mmm (123)

=====

[2]
VASP calculation (PBE) on a relaxed Zr2TiPb3O9 crystal.

Lattice parameters (Å, degrees): 9.244 9.244 4.227 89.58 89.58 142.77
Fractional positions:
O 0.838 0.682 0.975
O 0.997 0.997 0.478
O 0.485 0.996 0.982
O 0.682 0.838 0.975
O 0.316 0.153 0.983
O 0.153 0.316 0.983
O 0.321 0.641 0.507
O 0.996 0.485 0.982
O 0.641 0.321 0.507
Zr 0.689 0.358 0.025
Zr 0.358 0.689 0.025
Ti 0.026 0.026 0.047
Pb 0.223 0.905 0.583
Pb 0.905 0.223 0.583
Pb 0.579 0.579 0.575

Summary:
* raw total energy: -7.77 eV per atom
* SG: Cm (8)
* energy above the most stable polymorph in this dataset: 0.0 meV/atom

=====

[3]
VASP calculation (PBE) on a relaxed Mg16Si7HO32 crystal.

Lattice parameters (Å, degrees): 5.806 8.441 11.676 89.74 89.97 89.94
Fractional positions:
O 0.750 0.036 0.002
O 0.459 0.226 0.382
O 0.250 0.989 0.235
O 0.013 0.746 0.633
O 0.487 0.759 0.122
O 0.015 0.744 0.371
O 0.750 0.007 0.763
O 0.487 0.759 0.873
O 0.510 0.243 0.127
O 0.489 0.745 0.633
O 0.251 0.504 0.262
O 0.750 0.961 0.501
O 0.513 0.245 0.873
O 0.987 0.252 0.628
O 0.510 0.252 0.628
O 0.251 0.021 0.500
O 0.751 0.537 0.996
O 0.980 0.247 0.872
O 0.752 0.523 0.227
O 0.250 0.968 0.996
O 0.251 0.465 0.002
O 0.250 0.507 0.741
O 0.488 0.743 0.371
O 0.036 0.229 0.381
O 0.013 0.760 0.873
O 0.749 0.472 0.747
O 0.250 0.997 0.760
O 0.250 0.542 0.503
O 0.750 0.006 0.239
O 0.989 0.243 0.126
O 0.748 0.485 0.514
O 0.014 0.759 0.122
Si 0.250 0.866 0.127
Si 0.251 0.869 0.869
Si 0.748 0.358 0.612
Si 0.750 0.137 0.133
Si 0.748 0.131 0.873
Si 0.251 0.638 0.632
Si 0.251 0.634 0.370
Mg 0.490 0.510 0.883
Mg 0.750 0.783 0.003
Mg 0.500 0.992 0.373
Mg 0.503 0.001 0.621
Mg 0.494 0.500 0.125
Mg 0.250 0.250 0.750
Mg 0.000 0.994 0.374
Mg 0.752 0.714 0.498
Mg 0.997 0.001 0.621
Mg 0.247 0.298 0.504
Mg 0.751 0.754 0.248
Mg 0.015 0.514 0.884
Mg 0.249 0.246 0.249
Mg 0.250 0.218 0.002
Mg 0.751 0.761 0.752
Mg 0.009 0.501 0.125
H 0.766 0.377 0.797

Summary:
* raw total energy: -6.57 eV per atom
* SG: P1 (1)

=====

Number 1: energy of formation from the pure elements -43.1 kJ/mol of atoms. Number 2: energy of formation from the pure elements -270.3 kJ/mol of atoms. Number 3: energy of formation from the pure elements -283.4 kJ/mol of atoms.